No. 1
Zr2N2O: relaxed, PBE.

Unit cell a=8.876 b=8.879 c=8.880 alpha=109.62 beta=109.43 gamma=109.36
Positions (direct):
Zr (0.000, 0.000, 0.000)
Zr (0.002, 0.495, 0.511)
Zr (0.031, 0.273, 0.822)
Zr (0.209, 0.239, 0.540)
Zr (0.239, 0.016, 0.788)
Zr (0.244, 0.529, 0.301)
Zr (0.289, 0.818, 0.040)
Zr (0.461, 0.771, 0.749)
Zr (0.489, 0.058, 0.569)
Zr (0.513, 0.574, 0.080)
Zr (0.530, 0.274, 0.332)
Zr (0.715, 0.744, 0.545)
Zr (0.739, 0.530, 0.781)
Zr (0.741, 0.020, 0.294)
Zr (0.789, 0.318, 0.046)
Zr (0.960, 0.771, 0.257)
N (0.008, 0.255, 0.062)
N (0.020, 0.571, 0.301)
N (0.205, 0.757, 0.756)
N (0.216, 0.984, 0.519)
N (0.261, 0.490, 0.527)
N (0.283, 0.074, 0.063)
N (0.477, 0.302, 0.554)
N (0.485, 0.799, 0.517)
N (0.514, 0.020, 0.326)
N (0.521, 0.788, 0.019)
N (0.700, 0.513, 0.014)
N (0.718, 0.768, 0.806)
N (0.761, 0.801, 0.335)
N (0.789, 0.535, 0.559)
N (0.974, 0.264, 0.563)
N (0.977, 0.995, 0.743)
O (0.024, 0.753, 0.032)
O (0.235, 0.558, 0.048)
O (0.292, 0.302, 0.826)
O (0.473, 0.482, 0.275)
O (0.524, 0.066, 0.839)
O (0.736, 0.250, 0.238)
O (0.783, 0.288, 0.782)
O (0.989, 0.038, 0.256)

Space-group type   P1, No. 1
Formation energy from the elements   -2.19 eV per atom
Calculated volume   538.9 Å³ per cell

***

No. 2
H9AuCl4O4: relaxed, PBE.

Unit cell a=4.462 b=7.355 c=9.627 alpha=101.80 beta=103.00 gamma=107.11
Positions (direct):
H (0.000, 0.000, 0.000)
H (0.010, 0.529, 0.537)
H (0.246, 0.993, 0.817)
H (0.322, 0.335, 0.621)
H (0.463, 0.164, 0.719)
H (0.614, 0.995, 0.816)
H (0.685, 0.330, 0.619)
H (0.822, 0.789, 0.888)
H (0.890, 0.313, 0.434)
Au (0.591, 0.665, 0.217)
Cl (0.392, 0.568, 0.959)
Cl (0.435, 0.335, 0.212)
Cl (0.768, 0.763, 0.475)
Cl (0.782, 0.996, 0.221)
O (0.414, 0.018, 0.762)
O (0.517, 0.310, 0.675)
O (0.929, 0.929, 0.893)
O (0.987, 0.392, 0.540)

Space-group type   P1, No. 1
Formation energy from the elements   -0.99 eV per atom
Calculated volume   281.5 Å³ per cell

***

No. 3
Ba4Nd7Si12BN27: relaxed, PBE.

Unit cell a=12.337 b=12.337 c=5.476 alpha=90.00 beta=90.00 gamma=120.00
Positions (direct):
Ba (0.000, 0.000, 0.000)
Ba (0.178, 0.766, 0.000)
Ba (0.234, 0.412, 0.000)
Ba (0.588, 0.822, 0.000)
Nd (0.344, 0.039, 0.500)
Nd (0.447, 0.357, 0.500)
Nd (0.643, 0.090, 0.500)
Nd (0.667, 0.333, 0.000)
Nd (0.695, 0.656, 0.500)
Nd (0.910, 0.553, 0.500)
Nd (0.961, 0.305, 0.500)
Si (0.160, 0.130, 0.500)
Si (0.172, 0.576, 0.500)
Si (0.345, 0.205, 0.000)
Si (0.403, 0.828, 0.500)
Si (0.424, 0.597, 0.500)
Si (0.481, 0.023, 0.000)
Si (0.542, 0.519, 0.000)
Si (0.795, 0.141, 0.000)
Si (0.859, 0.655, 0.000)
Si (0.870, 0.030, 0.500)
Si (0.970, 0.840, 0.500)
Si (0.977, 0.458, 0.000)
B (0.667, 0.333, 0.500)
N (0.030, 0.146, 0.500)
N (0.067, 0.513, 0.259)
N (0.067, 0.513, 0.741)
N (0.116, 0.970, 0.500)
N (0.243, 0.736, 0.500)
N (0.260, 0.199, 0.254)
N (0.260, 0.199, 0.746)
N (0.264, 0.508, 0.500)
N (0.382, 0.086, 0.000)
N (0.446, 0.933, 0.259)
N (0.446, 0.933, 0.741)
N (0.483, 0.356, 0.000)
N (0.487, 0.554, 0.259)
N (0.487, 0.554, 0.741)
N (0.492, 0.757, 0.500)
N (0.540, 0.222, 0.500)
N (0.644, 0.127, 0.000)
N (0.682, 0.460, 0.500)
N (0.704, 0.618, 0.000)
N (0.778, 0.318, 0.500)
N (0.801, 0.061, 0.254)
N (0.801, 0.061, 0.746)
N (0.854, 0.884, 0.500)
N (0.873, 0.517, 0.000)
N (0.914, 0.296, 0.000)
N (0.939, 0.740, 0.254)
N (0.939, 0.740, 0.746)

Space-group type   P-6, No. 174
Formation energy from the elements   -1.42 eV per atom
Calculated volume   721.7 Å³ per cell

***

No. 4
LiEuBi: relaxed, PBE.

Unit cell a=8.074 b=4.925 c=8.620 alpha=90.00 beta=90.00 gamma=90.00
Positions (direct):
Li (0.168, 0.250, 0.073)
Li (0.332, 0.750, 0.573)
Li (0.668, 0.250, 0.427)
Li (0.832, 0.750, 0.927)
Eu (0.004, 0.250, 0.710)
Eu (0.496, 0.750, 0.210)
Eu (0.504, 0.250, 0.790)
Eu (0.996, 0.750, 0.290)
Bi (0.226, 0.750, 0.906)
Bi (0.274, 0.250, 0.406)
Bi (0.726, 0.750, 0.594)
Bi (0.774, 0.250, 0.094)

Space-group type   Pnma, No. 62
Formation energy from the elements   -0.81 eV per atom
Calculated volume   342.8 Å³ per cell

***

No. 5
Na4ScTa3Si5SO24: relaxed, PBE.

Unit cell a=8.977 b=8.999 c=22.758 alpha=90.18 beta=90.01 gamma=119.89
Positions (direct):
Na (0.000, 0.000, 0.000)
Na (0.000, 0.014, 0.494)
Na (0.051, 0.709, 0.916)
Na (0.310, 0.353, 0.912)
Na (0.333, 0.320, 0.577)
Na (0.334, 0.650, 0.333)
Na (0.341, 0.676, 0.828)
Na (0.646, 0.020, 0.244)
Na (0.665, 0.964, 0.915)
Na (0.678, 0.333, 0.667)
Na (0.681, 0.356, 0.167)
Na (0.990, 0.683, 0.577)
Sc (0.342, 0.666, 0.478)
Sc (0.345, 0.689, 0.975)
Sc (0.666, 0.353, 0.303)
Ta (0.005, 0.010, 0.643)
Ta (0.007, 0.008, 0.847)
Ta (0.018, 0.020, 0.346)
Ta (0.334, 0.683, 0.184)
Ta (0.340, 0.676, 0.684)
Ta (0.661, 0.336, 0.517)
Ta (0.674, 0.344, 0.804)
Ta (0.683, 0.341, 0.017)
Ta (0.998, 0.000, 0.142)
Si (0.009, 0.719, 0.744)
Si (0.014, 0.302, 0.243)
Si (0.048, 0.678, 0.076)
Si (0.050, 0.385, 0.578)
Si (0.295, 0.012, 0.243)
Si (0.296, 0.301, 0.745)
Si (0.340, 0.960, 0.578)
Si (0.377, 0.344, 0.409)
Si (0.389, 0.061, 0.911)
Si (0.632, 0.683, 0.578)
Si (0.632, 0.969, 0.077)
Si (0.676, 0.629, 0.911)
Si (0.715, 0.008, 0.746)
Si (0.716, 0.721, 0.246)
Si (0.962, 0.341, 0.910)
S (0.341, 0.385, 0.078)
S (0.677, 0.055, 0.410)
S (0.961, 0.635, 0.412)
O (0.025, 0.194, 0.589)
O (0.028, 0.848, 0.086)
O (0.032, 0.838, 0.803)
O (0.044, 0.208, 0.302)
O (0.135, 0.661, 0.417)
O (0.137, 0.514, 0.635)
O (0.151, 0.653, 0.132)
O (0.151, 0.702, 0.015)
O (0.152, 0.504, 0.915)
O (0.173, 0.981, 0.302)
O (0.175, 0.457, 0.522)
O (0.177, 0.205, 0.804)
O (0.180, 0.998, 0.588)
O (0.181, 0.704, 0.739)
O (0.185, 0.160, 0.407)
O (0.188, 0.211, 0.085)
O (0.189, 0.487, 0.235)
O (0.197, 0.033, 0.187)
O (0.197, 0.045, 0.905)
O (0.204, 0.183, 0.687)
O (0.289, 0.839, 0.521)
O (0.306, 0.833, 0.237)
O (0.311, 0.488, 0.738)
O (0.317, 0.458, 0.023)
O (0.350, 0.508, 0.413)
O (0.362, 0.495, 0.130)
O (0.366, 0.871, 0.913)
O (0.372, 0.871, 0.635)
O (0.478, 0.186, 0.968)
O (0.478, 0.322, 0.470)
O (0.485, 0.317, 0.751)
O (0.490, 0.164, 0.247)
O (0.494, 0.355, 0.355)
O (0.499, 0.370, 0.075)
O (0.501, 0.635, 0.634)
O (0.507, 0.648, 0.915)
O (0.511, 0.156, 0.854)
O (0.511, 0.157, 0.570)
O (0.512, 0.867, 0.135)
O (0.523, 0.887, 0.417)
O (0.529, 0.836, 0.738)
O (0.532, 0.716, 0.237)
O (0.556, 0.717, 0.519)
O (0.560, 0.863, 0.016)
O (0.643, 0.158, 0.073)
O (0.650, 0.509, 0.854)
O (0.654, 0.507, 0.569)
O (0.666, 0.137, 0.356)
O (0.697, 0.168, 0.463)
O (0.700, 0.180, 0.751)
O (0.703, 0.537, 0.246)
O (0.711, 0.538, 0.968)
O (0.809, 0.984, 0.805)
O (0.810, 0.850, 0.303)
O (0.829, 0.003, 0.086)
O (0.831, 0.836, 0.587)
O (0.835, 0.822, 0.188)
O (0.836, 0.305, 0.968)
O (0.836, 0.531, 0.751)
O (0.837, 0.040, 0.410)
O (0.839, 0.032, 0.690)
O (0.840, 0.308, 0.251)
O (0.852, 0.819, 0.905)
O (0.854, 0.506, 0.073)
O (0.858, 0.548, 0.466)
O (0.862, 0.373, 0.567)
O (0.866, 0.370, 0.854)
O (0.878, 0.530, 0.359)
O (0.967, 0.805, 0.408)
O (0.971, 0.163, 0.905)
O (0.986, 0.813, 0.687)
O (0.988, 0.177, 0.188)

Space-group type   P1, No. 1
Formation energy from the elements   -3.03 eV per atom
Calculated volume   1594.0 Å³ per cell

***

No. 6
Sm2CuIr: relaxed, PBE.

Unit cell a=4.976 b=4.976 c=4.976 alpha=60.00 beta=60.00 gamma=60.00
Positions (direct):
Sm (0.250, 0.250, 0.250)
Sm (0.750, 0.750, 0.750)
Cu (0.000, 0.000, 0.000)
Ir (0.500, 0.500, 0.500)

Space-group type   Fm-3m, No. 225
Formation energy from the elements   -0.48 eV per atom
Calculated volume   87.1 Å³ per cell

***

No. 7
Nd4Ir: relaxed, PBE.

Unit cell a=7.959 b=7.959 c=7.959 alpha=60.00 beta=60.00 gamma=60.00
Positions (direct):
Nd (0.210, 0.763, 0.763)
Nd (0.237, 0.237, 0.237)
Nd (0.237, 0.237, 0.790)
Nd (0.237, 0.790, 0.237)
Nd (0.763, 0.210, 0.763)
Nd (0.763, 0.763, 0.210)
Nd (0.763, 0.763, 0.763)
Nd (0.790, 0.237, 0.237)
Ir (0.375, 0.375, 0.375)
Ir (0.625, 0.625, 0.625)

Space-group type   Fd-3m, No. 227
Formation energy from the elements   0.13 eV per atom
Calculated volume   356.5 Å³ per cell

***

No. 8
V5Ge3B: relaxed, PBE.

Unit cell a=7.352 b=7.352 c=4.941 alpha=90.00 beta=90.00 gamma=120.00
Positions (direct):
V (0.000, 0.244, 0.250)
V (0.000, 0.756, 0.750)
V (0.244, 0.000, 0.250)
V (0.244, 0.244, 0.750)
V (0.333, 0.667, 0.000)
V (0.333, 0.667, 0.500)
V (0.667, 0.333, 0.000)
V (0.667, 0.333, 0.500)
V (0.756, 0.000, 0.750)
V (0.756, 0.756, 0.250)
Ge (0.000, 0.399, 0.750)
Ge (0.000, 0.601, 0.250)
Ge (0.399, 0.000, 0.750)
Ge (0.399, 0.399, 0.250)
Ge (0.601, 0.000, 0.250)
Ge (0.601, 0.601, 0.750)
B (0.000, 0.000, 0.000)
B (0.000, 0.000, 0.500)

Space-group type   P6_3/mcm, No. 193
Formation energy from the elements   -0.46 eV per atom
Calculated volume   231.3 Å³ per cell

***

No. 9
Cu2S: relaxed, PBE.

Unit cell a=4.249 b=4.249 c=5.365 alpha=90.00 beta=90.00 gamma=120.00
Positions (direct):
Cu (0.000, 0.000, 0.250)
Cu (0.000, 0.000, 0.750)
Cu (0.333, 0.667, 0.250)
Cu (0.667, 0.333, 0.750)
S (0.333, 0.667, 0.750)
S (0.667, 0.333, 0.250)

Space-group type   P6_3/mmc, No. 194
Formation energy from the elements   -0.07 eV per atom
Calculated volume   83.9 Å³ per cell

***

No. 10
Sm2Se3: relaxed, PBE.

Unit cell a=14.669 b=14.669 c=14.669 alpha=144.90 beta=144.90 gamma=50.49
Positions (direct):
Sm (0.048, 0.423, 0.891)
Sm (0.167, 0.167, 0.000)
Sm (0.173, 0.298, 0.391)
Sm (0.218, 0.827, 0.125)
Sm (0.256, 0.125, 0.631)
Sm (0.375, 0.744, 0.869)
Sm (0.494, 0.625, 0.369)
Sm (0.532, 0.156, 0.109)
Sm (0.577, 0.468, 0.625)
Sm (0.583, 0.083, 0.500)
Sm (0.702, 0.094, 0.875)
Sm (0.833, 0.833, 0.000)
Sm (0.844, 0.952, 0.375)
Sm (0.875, 0.506, 0.131)
Sm (0.906, 0.782, 0.609)
Sm (0.917, 0.417, 0.500)
Se (0.004, 0.109, 0.247)
Se (0.073, 0.826, 0.608)
Se (0.174, 0.781, 0.247)
Se (0.186, 0.093, 0.746)
Se (0.190, 0.596, 0.754)
Se (0.216, 0.469, 0.892)
Se (0.219, 0.466, 0.392)
Se (0.242, 0.996, 0.105)
Se (0.346, 0.440, 0.254)
Se (0.404, 0.157, 0.594)
Se (0.508, 0.112, 0.253)
Se (0.531, 0.424, 0.747)
Se (0.534, 0.927, 0.753)
Se (0.560, 0.814, 0.906)
Se (0.564, 0.810, 0.406)
Se (0.576, 0.323, 0.108)
Se (0.677, 0.784, 0.253)
Se (0.746, 0.492, 0.605)
Se (0.843, 0.436, 0.246)
Se (0.859, 0.254, 0.747)
Se (0.862, 0.758, 0.753)
Se (0.888, 0.141, 0.395)
Se (0.891, 0.138, 0.895)
Se (0.907, 0.654, 0.094)

Space-group type   I-42d, No. 122
Formation energy from the elements   -2.15 eV per atom
Calculated volume   1038.6 Å³ per cell

***

No. 11
Zr3As2: relaxed, PBE.

Unit cell a=10.635 b=3.789 c=10.185 alpha=90.00 beta=90.00 gamma=90.00
Positions (direct):
Zr (0.045, 0.250, 0.124)
Zr (0.124, 0.750, 0.567)
Zr (0.214, 0.250, 0.795)
Zr (0.286, 0.750, 0.295)
Zr (0.376, 0.250, 0.067)
Zr (0.455, 0.750, 0.624)
Zr (0.545, 0.250, 0.376)
Zr (0.624, 0.750, 0.933)
Zr (0.714, 0.250, 0.705)
Zr (0.786, 0.750, 0.205)
Zr (0.876, 0.250, 0.433)
Zr (0.955, 0.750, 0.876)
As (0.029, 0.750, 0.320)
As (0.195, 0.750, 0.999)
As (0.305, 0.250, 0.499)
As (0.471, 0.250, 0.820)
As (0.529, 0.750, 0.180)
As (0.695, 0.750, 0.501)
As (0.805, 0.250, 0.001)
As (0.971, 0.250, 0.680)

Space-group type   Pnma, No. 62
Formation energy from the elements   -1.05 eV per atom
Calculated volume   410.4 Å³ per cell

***

No. 12
V4GaS8: relaxed, PBE.

Unit cell a=6.880 b=6.880 c=6.880 alpha=60.00 beta=60.00 gamma=60.00
Positions (direct):
V (0.394, 0.394, 0.394)
V (0.394, 0.394, 0.818)
V (0.394, 0.818, 0.394)
V (0.818, 0.394, 0.394)
Ga (0.000, 0.000, 0.000)
S (0.113, 0.629, 0.629)
S (0.137, 0.137, 0.137)
S (0.137, 0.137, 0.590)
S (0.137, 0.590, 0.137)
S (0.590, 0.137, 0.137)
S (0.629, 0.113, 0.629)
S (0.629, 0.629, 0.113)
S (0.629, 0.629, 0.629)

Space-group type   F-43m, No. 216
Formation energy from the elements   -1.22 eV per atom
Calculated volume   230.3 Å³ per cell